This record from the Materials Project database describes a relaxed structure of MgTi2V2O8. The functional is GGA+U.

abc: 5.649 5.652 5.811
angles: 105.89 105.13 116.50
Space group P1 (No. 1)
Unique sites:
Mg 0.000 0.000 0.000 (multiplicity 1)
Ti 0.715 0.298 0.024 (multiplicity 1)
Ti 0.968 0.009 0.484 (multiplicity 1)
V 0.267 0.715 0.016 (multiplicity 1)
V 0.484 0.489 0.507 (multiplicity 1)
O 0.165 0.444 0.181 (multiplicity 1)
O 0.226 0.424 0.698 (multiplicity 1)
O 0.251 0.033 0.333 (multiplicity 1)
O 0.307 0.013 0.864 (multiplicity 1)
O 0.723 0.991 0.183 (multiplicity 1)
O 0.730 0.942 0.672 (multiplicity 1)
O 0.751 0.556 0.323 (multiplicity 1)
O 0.800 0.531 0.844 (multiplicity 1)

Output
Corrected total energy (MP2020 scheme) ... -113.81 eV for the cell shown
Energy above the lowest structure with this stoichiometry ... 0.000 eV per atom
Energy ... -8.07 eV per atom
Calculated volume ... 143.0 Å³ per cell
Total magnetization ... 0.308 μB per atom
Energy of formation ... -287.0 kJ per mole of atoms